(1)
VASP calculation (PBE with a Hubbard U) on crystalline BaYMnCoO5 at its relaxed geometry.

Geometry as CIF:
```
data_BaYMnCoO5
_cell_length_a 5.615
_cell_length_b 5.607
_cell_length_c 8.628
_cell_angle_alpha 70.91
_cell_angle_beta 70.94
_cell_angle_gamma 89.80
_space_group_name_H-M_alt 'P 1'
_space_group_IT_number 1
loop_
_space_group_symop_operation_xyz
'x,y,z'
loop_
_atom_site_label
_atom_site_type_symbol
_atom_site_fract_x
_atom_site_fract_y
_atom_site_fract_z
Ba1 Ba 0.000 0.004 0.994
Ba2 Ba 0.503 0.500 0.994
Y1 Y 0.246 0.249 0.506
Y2 Y 0.748 0.745 0.507
Mn1 Mn 0.370 0.870 0.261
Mn2 Mn 0.863 0.363 0.274
Co1 Co 0.126 0.626 0.750
Co2 Co 0.628 0.129 0.735
O1 O 0.504 0.003 0.996
O2 O 0.004 0.506 0.993
O3 O 0.404 0.904 0.682
O4 O 0.916 0.414 0.685
O5 O 0.914 0.905 0.682
O6 O 0.405 0.411 0.685
O7 O 0.601 0.102 0.312
O8 O 0.085 0.585 0.315
O9 O 0.086 0.100 0.314
O10 O 0.599 0.585 0.317
```

## Properties
**DFT total energy**: -7.341 eV/atom
**Total moment**: 8.0 μB per cell
**Space-group type**: P1, No. 1
**ΔH_f (0 K)**: -2.60 eV/atom
**Relative energy among the computed polymorphs**: 0.0 meV per atom


(2)
VASP calculation (PBE with a Hubbard U) on crystalline BaVZnP2O9 at its relaxed geometry.

Geometry as CIF:
```
data_BaVZnP2O9
_cell_length_a 9.007
_cell_length_b 9.190
_cell_length_c 18.736
_cell_angle_alpha 90.00
_cell_angle_beta 90.00
_cell_angle_gamma 90.00
_space_group_name_H-M_alt 'P 1'
_space_group_IT_number 1
loop_
_space_group_symop_operation_xyz
'x,y,z'
loop_
_atom_site_label
_atom_site_type_symbol
_atom_site_fract_x
_atom_site_fract_y
_atom_site_fract_z
Ba1 Ba 0.655 0.505 0.091
Ba2 Ba 0.155 0.995 0.909
Ba3 Ba 0.345 0.005 0.409
Ba4 Ba 0.845 0.495 0.591
Ba5 Ba 0.345 0.495 0.909
Ba6 Ba 0.845 0.005 0.091
Ba7 Ba 0.655 0.995 0.591
Ba8 Ba 0.155 0.505 0.409
V1 V 0.499 0.656 0.288
V2 V 0.999 0.844 0.712
V3 V 0.501 0.156 0.212
V4 V 0.001 0.344 0.788
V5 V 0.501 0.344 0.712
V6 V 0.001 0.156 0.288
V7 V 0.499 0.844 0.788
V8 V 0.999 0.656 0.212
Zn1 Zn 0.683 0.409 0.417
Zn2 Zn 0.183 0.091 0.583
Zn3 Zn 0.317 0.909 0.083
Zn4 Zn 0.817 0.591 0.917
Zn5 Zn 0.317 0.591 0.583
Zn6 Zn 0.817 0.909 0.417
Zn7 Zn 0.683 0.091 0.917
Zn8 Zn 0.183 0.409 0.083
P1 P 0.950 0.294 0.972
P2 P 0.450 0.206 0.028
P3 P 0.050 0.794 0.528
P4 P 0.550 0.706 0.472
P5 P 0.050 0.706 0.028
P6 P 0.550 0.794 0.972
P7 P 0.950 0.206 0.472
P8 P 0.450 0.294 0.528
P9 P 0.751 0.904 0.262
P10 P 0.251 0.596 0.738
P11 P 0.249 0.404 0.238
P12 P 0.749 0.096 0.762
P13 P 0.249 0.096 0.738
P14 P 0.749 0.404 0.262
P15 P 0.751 0.596 0.762
P16 P 0.251 0.904 0.238
O1 O 0.656 0.807 0.311
O2 O 0.156 0.693 0.689
O3 O 0.344 0.307 0.189
O4 O 0.844 0.193 0.811
O5 O 0.344 0.193 0.689
O6 O 0.844 0.307 0.311
O7 O 0.656 0.693 0.811
O8 O 0.156 0.807 0.189
O9 O 0.664 0.006 0.211
O10 O 0.164 0.494 0.789
O11 O 0.336 0.506 0.289
O12 O 0.836 0.994 0.711
O13 O 0.336 0.994 0.789
O14 O 0.836 0.506 0.211
O15 O 0.664 0.494 0.711
O16 O 0.164 0.006 0.289
O17 O 0.030 0.279 0.045
O18 O 0.530 0.221 0.955
O19 O 0.970 0.779 0.455
O20 O 0.470 0.721 0.545
O21 O 0.970 0.721 0.955
O22 O 0.470 0.779 0.045
O23 O 0.030 0.221 0.545
O24 O 0.530 0.279 0.455
O25 O 0.849 0.992 0.317
O26 O 0.349 0.508 0.683
O27 O 0.151 0.492 0.183
O28 O 0.531 0.648 0.201
O29 O 0.651 0.008 0.817
O30 O 0.651 0.492 0.317
O31 O 0.849 0.508 0.817
O32 O 0.349 0.992 0.183
O33 O 0.881 0.138 0.960
O34 O 0.381 0.362 0.040
O35 O 0.119 0.638 0.540
O36 O 0.619 0.862 0.460
O37 O 0.119 0.862 0.040
O38 O 0.619 0.638 0.960
O39 O 0.881 0.362 0.460
O40 O 0.381 0.138 0.540
O41 O 0.059 0.172 0.409
O42 O 0.559 0.328 0.591
O43 O 0.941 0.672 0.091
O44 O 0.441 0.828 0.909
O45 O 0.941 0.828 0.591
O46 O 0.441 0.672 0.409
O47 O 0.059 0.328 0.909
O48 O 0.559 0.172 0.091
O49 O 0.150 0.317 0.290
O50 O 0.650 0.183 0.710
O51 O 0.850 0.817 0.210
O52 O 0.350 0.683 0.790
O53 O 0.850 0.683 0.710
O54 O 0.350 0.817 0.290
O55 O 0.150 0.183 0.790
O56 O 0.650 0.317 0.210
O57 O 0.326 0.410 0.524
O58 O 0.826 0.090 0.476
O59 O 0.674 0.910 0.976
O60 O 0.174 0.590 0.024
O61 O 0.674 0.590 0.476
O62 O 0.174 0.910 0.524
O63 O 0.326 0.090 0.024
O64 O 0.826 0.410 0.976
O65 O 0.031 0.648 0.299
O66 O 0.531 0.852 0.701
O67 O 0.969 0.148 0.201
O68 O 0.469 0.352 0.799
O69 O 0.969 0.352 0.701
O70 O 0.469 0.148 0.299
O71 O 0.031 0.852 0.799
O72 O 0.151 0.008 0.683
```

## Properties
**DFT total energy**: -7.032 eV/atom
**Total moment**: 8.1 μB per cell
**Space-group type**: Pbca, No. 61
**ΔH_f (0 K)**: -2.76 eV/atom


(3)
VASP calculation (PBE with a Hubbard U) on crystalline Sr2MgWO6 at its relaxed geometry.

Geometry as CIF:
```
data_Sr2MgWO6
_cell_length_a 5.685
_cell_length_b 5.685
_cell_length_c 5.685
_cell_angle_alpha 120.42
_cell_angle_beta 120.42
_cell_angle_gamma 89.28
_space_group_name_H-M_alt 'P 1'
_space_group_IT_number 1
loop_
_space_group_symop_operation_xyz
'x,y,z'
loop_
_atom_site_label
_atom_site_type_symbol
_atom_site_fract_x
_atom_site_fract_y
_atom_site_fract_z
Sr1 Sr 0.750 0.250 0.500
Sr2 Sr 0.250 0.750 0.500
Mg1 Mg 0.000 0.000 0.000
W1 W 0.500 0.500 0.000
O1 O 0.742 0.742 0.000
O2 O 0.258 0.258 0.000
O3 O 0.701 0.781 0.482
O4 O 0.781 0.299 0.080
O5 O 0.299 0.219 0.518
O6 O 0.219 0.701 0.920
```

## Properties
**DFT total energy**: -6.895 eV/atom
**Space-group type**: I4/m, No. 87
**ΔH_f (0 K)**: -2.99 eV/atom